Below is a geometry-optimized ZnH6Se4N2 structure, with properties calculated at the GGA-PBE level.

Values from the calculation:
DFT total energy: -56.6 eV/f.u.
Energy of formation: -5.01 eV/f.u.
Space-group type: P2_1 (4)

Cell: 6.1300 12.0314 6.7558 Å, 90.00 114.10 90.00°
Last column: nearest neighbours and their distance in Å.
Sites, in units of the cell vectors:
Zn 0.1715 0.0000 0.1108  2 N 2.07-2.09
Zn 0.8285 0.5000 0.8892  2 N 2.07-2.09
H 0.0134 0.6520 0.1929  1 N 1.02
H 0.1724 0.5134 0.7523  1 N 1.02
H 0.1784 0.0764 0.7483  1 N 1.02
H 0.2686 0.4298 0.9629  1 N 1.02
H 0.2721 0.5652 0.9981  1 N 1.02
H 0.2751 0.1739 0.9368  1 N 1.03
H 0.7249 0.6739 0.0632  1 N 1.03
H 0.7279 0.0652 0.0019  1 N 1.02
H 0.7314 0.9298 0.0371  1 N 1.02
H 0.8216 0.5764 0.2517  1 N 1.02
H 0.8276 0.0134 0.2477  1 N 1.02
H 0.9866 0.1520 0.8071  1 N 1.02
Se 0.0229 0.8158 0.6378  2 Se 2.36-2.39
Se 0.2694 0.8155 0.0188  1 Se 2.39, 1 Zn 2.45
Se 0.3700 0.2680 0.4109  2 Se 2.36-2.38
Se 0.4335 0.0729 0.4647  1 Se 2.38, 1 Zn 2.44
Se 0.5665 0.5729 0.5353  1 Se 2.38, 1 Zn 2.44
Se 0.6300 0.7680 0.5891  2 Se 2.36-2.38
Se 0.7306 0.3155 0.9812  1 Se 2.39, 1 Zn 2.45
Se 0.9771 0.3158 0.3622  2 Se 2.36-2.39
N 0.1490 0.1128 0.8724  3 H 1.02-1.03
N 0.1749 0.5015 0.9027  3 H 1.02
N 0.8251 0.0015 0.0973  3 H 1.02
N 0.8510 0.6128 0.1276  3 H 1.02-1.03

***

Below is a geometry-optimized Si3H9N structure, with properties calculated at the GGA-PBE level.

Values from the calculation:
DFT total energy: -56.6 eV/f.u.
Energy of formation: -1.85 eV/f.u.
Space-group type: P-1 (2)

Cell: 7.0368 7.0949 8.5019 Å, 95.41 99.38 118.78°
Last column: nearest neighbours and their distance in Å.
Sites, in units of the cell vectors:
Si 0.0834 0.2866 0.2762  3 H 1.49-1.50
Si 0.2191 0.9408 0.2695  3 H 1.49-1.50
Si 0.2694 0.1967 0.7965  3 H 1.49-1.50
Si 0.7306 0.8033 0.2035  3 H 1.49-1.50
Si 0.7809 0.0592 0.7305  3 H 1.49-1.50
Si 0.9166 0.7134 0.7238  3 H 1.49-1.50
H 0.1267 0.7059 0.7342  1 Si 1.49
H 0.1932 0.3927 0.1471  1 Si 1.50
H 0.1984 0.8011 0.3942  1 Si 1.50
H 0.2067 0.8171 0.1123  1 Si 1.49
H 0.2409 0.4132 0.4374  1 Si 1.49
H 0.2768 0.4115 0.8236  1 Si 1.49
H 0.3763 0.1880 0.6597  1 Si 1.50
H 0.3998 0.1788 0.9457  1 Si 1.49
H 0.4398 0.1486 0.3215  1 Si 1.49
H 0.5602 0.8514 0.6785  1 Si 1.49
H 0.6002 0.8212 0.0543  1 Si 1.49
H 0.6237 0.8120 0.3403  1 Si 1.50
H 0.7232 0.5885 0.1764  1 Si 1.49
H 0.7591 0.5868 0.5626  1 Si 1.49
H 0.7933 0.1829 0.8877  1 Si 1.49
H 0.8016 0.1989 0.6058  1 Si 1.50
H 0.8068 0.6073 0.8529  1 Si 1.50
H 0.8733 0.2941 0.2658  1 Si 1.49
N 0.0109 0.0108 0.2497  3 Si 1.75
N 0.9891 0.9892 0.7503  3 Si 1.75

***

Below is a geometry-optimized Sr2HN structure, with properties calculated at the GGA-PBE level.

Values from the calculation:
DFT total energy: -17.5 eV/f.u.
Energy of formation: -2.80 eV/f.u.
Space-group type: R-3m (166)

Cell: 6.7181 6.7181 6.7181 Å, 33.09 33.09 33.09°
Last column: nearest neighbours and their distance in Å.
Sites, in units of the cell vectors:
Sr 0.2386 0.2386 0.2386  3 N 2.60, 3 H 2.85
Sr 0.7614 0.7614 0.7614  3 N 2.60, 3 H 2.85
H 0.0000 0.0000 0.0000  6 Sr 2.85
N 0.5000 0.5000 0.5000  6 Sr 2.60

***

Below is a geometry-optimized Th2HN3 structure, with properties calculated at the GGA-PBE level.

Values from the calculation:
Largest piezoelectric modulus: 5.0 C/m2
DFT total energy: -51.0 eV/f.u.
Energy of formation: -8.88 eV/f.u.
Space-group type: P3m1 (156)

Cell: 4.0225 4.0225 6.1634 Å, 90.00 90.00 120.00°
Last column: nearest neighbours and their distance in Å.
Sites, in units of the cell vectors:
Th 0.0000 0.0000 0.0000  4 N 2.31-2.37, 3 H 2.44
Th 0.3333 0.6667 0.5212  4 N 2.41-2.46
H 0.6667 0.3333 0.1201  1 N 1.04
N 0.0000 0.0000 0.6256  4 Th 2.31-2.41
N 0.3333 0.6667 0.9200  4 Th 2.37-2.46, 3 H 2.63
N 0.6667 0.3333 0.2882  1 H 1.04